Record 1
Density functional theory data (GGA+U) for a relaxed Fe2CoAs2H10O14 crystal.

Results
Energy above the lowest structure with this stoichiometry in meV/atom: 0
Formation enthalpy at 0 K in meV/atom: -1434
Uncorrected energy in eV per atom: -5.5998

Geometry as POSCAR:
```
Fe2CoAs2H10O14
1.0
9.6925 0.0000 0.0000
0.0000 5.6378 0.0000
0.0000 0.7227 10.4183
O Fe H As Co
28 4 20 4 2
Cartesian
1.8503 4.9653 0.4782
5.7825 1.2823 1.3034
0.1301 2.4332 4.1712
4.8011 2.4881 3.6462
9.6849 4.8697 8.8976
7.4815 0.7344 4.8485
4.9764 1.1084 6.2471
2.4600 4.0450 3.0239
2.2110 5.6261 5.5698
2.6352 2.8072 5.5698
2.3862 1.2261 3.0239
0.9362 2.2593 9.1149
6.6965 4.2141 9.9402
7.0573 3.5533 4.8485
3.9100 5.0782 9.1149
8.7563 4.1012 1.3034
2.9960 2.1464 0.4782
9.6474 1.0535 6.7721
9.5624 3.9273 6.2471
4.8539 2.0508 8.8976
7.2325 2.3155 7.3944
4.7161 5.2521 4.1712
7.8423 1.3952 9.9402
0.0451 5.3070 3.6462
4.8386 4.3098 1.5207
0.0076 1.4908 1.5207
7.3063 5.1344 7.3944
4.8914 3.8724 6.7721
3.5304 1.2369 4.6947
6.1621 5.1236 5.7236
8.3767 2.3047 5.7236
1.3158 4.0558 4.6947
2.0620 4.5139 1.3360
1.5361 0.5199 6.0665
7.6305 1.8466 9.0823
5.4082 0.3532 1.3114
7.2426 1.0310 0.2204
7.2962 3.8499 0.2204
0.5619 3.1884 9.1069
9.1306 3.1721 1.3114
0.8197 1.9301 8.1877
2.3963 2.5106 10.1979
4.0266 4.7490 8.1877
2.7843 1.6950 1.3360
3.3102 3.3388 6.0665
5.6659 1.6115 2.2307
6.9083 4.6655 9.0823
4.2844 6.0073 9.1069
6.3823 3.0217 4.3518
2.4500 5.3295 10.1979
8.1565 5.8406 4.3518
8.8729 4.4304 2.2307
0.6630 1.1844 3.0584
4.1833 4.0034 3.0584
9.0296 5.1761 7.3600
5.5092 2.3571 7.3600
4.8463 2.8189 0.0000
0.0000 0.0000 0.0000
```

Record 2
Density functional theory data (GGA+U) for a relaxed Mn2PH9C12O9 crystal.

Results
Formation enthalpy at 0 K in meV/atom: -551
Uncorrected energy in eV per atom: -6.6121

Geometry as POSCAR:
```
Mn2PH9C12O9
1.0
-12.8177 4.4226 8.3379
-4.9792 -0.9676 -7.1412
-5.7116 -13.0215 -1.8735
O Mn C H P
36 8 48 36 4
Cartesian
-6.4868 -3.9823 -2.3176
-12.2663 -3.3213 -3.7292
-10.2947 -6.5309 -3.7010
-17.0218 -5.5841 1.6407
-6.0417 -0.3509 -0.0942
-17.1755 -3.8362 4.8271
-18.8621 -3.1509 -0.0194
-10.2556 -11.5112 -7.8317
-19.9122 -7.1839 0.6610
-15.5928 -3.6982 -2.0254
-8.9166 0.8103 2.2492
-12.4324 0.3285 1.4498
-10.3918 -7.5339 0.2881
-13.2139 -3.0355 3.0242
-17.9095 -10.9758 -3.4335
-14.4340 -6.9859 3.5491
-12.2180 -0.2544 4.9020
-7.9158 -5.8683 1.3486
-20.8172 -9.3917 -1.4214
-11.2906 -9.3121 -5.5788
-17.4669 -9.2156 -0.5826
-6.5416 -0.3298 -3.3479
-4.6464 -6.4155 -0.6575
-11.2422 -6.2452 3.0524
-16.9670 -9.2367 2.6711
-14.5919 -10.3767 -2.9260
-15.8009 -2.2943 1.1281
-3.5964 -2.3825 -1.3379
-13.1168 -2.0325 -0.9649
-7.7077 -7.2722 -1.8050
-5.5991 1.4093 2.7567
-9.0746 -2.5806 -4.2259
-11.0761 -9.8949 -2.1267
-13.2530 1.9447 7.1549
-6.3331 -5.7303 -5.5040
-2.6914 -0.1748 0.7446
-6.9379 -3.1543 0.5409
-9.1551 -4.9938 -6.0239
-14.3535 -4.5727 5.3470
-9.6453 1.2989 5.0788
-16.5707 -6.4121 -1.2177
-13.8633 -10.8654 -5.7557
-8.1603 -10.2287 -1.4584
-15.3482 0.6622 0.7816
-15.1586 2.4673 0.5415
-7.4868 -4.8355 1.0147
-12.2927 -9.8931 -5.6811
-12.8709 -12.3925 -5.4545
-9.9228 -3.9420 -1.0025
-6.3703 -1.4412 0.1496
-10.6376 2.8260 4.7777
-13.6297 -3.6377 3.9295
-9.7889 -8.4444 0.6949
-7.6729 -9.2443 -4.7846
-7.8923 -8.4121 -1.6547
-6.6404 -3.6714 -1.2039
-15.8357 -0.3222 4.1078
-7.1244 -2.6595 2.2966
-4.4954 -5.4849 0.0217
-16.8682 -5.8951 0.5270
-16.3841 -6.9069 -2.9734
-13.5567 0.4584 1.1674
-9.4482 -1.1357 -0.8354
-14.3030 -10.5719 -4.0388
-17.1061 0.8383 0.2907
-16.0637 -4.1243 5.0287
-14.0604 -8.4308 0.1585
-8.3500 -12.0338 -1.2183
-9.9519 -10.0249 -1.8443
-6.4025 -10.4048 -0.9675
-17.1383 -8.1253 -0.8265
-9.8789 -5.9287 -4.6063
-15.6163 -1.1543 0.9779
-10.2595 -2.6020 1.4621
-9.2056 1.0054 3.3620
-13.5858 -5.6245 0.3257
-13.2490 -6.9644 -2.1390
-14.3852 -6.0759 4.2715
-3.8396 -3.0011 -0.3807
-9.1234 -3.4906 -4.9483
-16.0218 -4.7309 -1.6915
-4.5409 -2.4730 -5.0092
-19.0132 -4.0815 -0.6985
-8.9287 -11.7811 -4.4436
-14.5799 2.2146 3.7668
-18.9677 -7.0935 4.3323
-10.3663 -10.9553 1.0462
-13.1423 1.3889 -1.7230
-13.7196 -1.1220 -1.3717
-7.4449 -5.4421 -5.7055
-19.6690 -6.5654 -0.2961
-11.2159 0.3266 5.0043
-4.6507 -2.3825 -3.9194
-8.5902 -8.6529 -4.6725
-7.6041 -9.6185 -5.8163
-13.5063 -4.6725 -0.2172
-12.2566 -7.2543 -1.7662
-13.1787 -5.9810 -2.6240
-12.5807 -5.9776 0.5965
-16.7129 -0.9456 3.8875
-8.8731 -12.7797 -3.9885
-9.3339 -4.0973 -1.9145
-5.3844 -3.0398 -5.4226
-10.3299 -3.5855 1.9472
-10.0023 -4.8940 -0.4596
-14.8078 2.2870 4.8397
-13.5662 1.8170 3.6363
-4.5308 -1.4687 -5.4549
-15.9045 0.0521 5.1395
-13.6010 -7.7008 -2.8722
-11.2520 -2.3122 1.0894
-9.2438 -0.2800 -0.1775
-8.8166 -1.0787 -1.7308
-14.6920 -8.4878 1.0539
-18.9777 -8.0977 4.7781
-14.2648 -9.2864 -0.4994
-14.9184 -0.9135 3.9956
-18.1242 -6.5267 4.7458
-10.5064 -1.1210 -1.1339
-14.1746 -5.4691 1.2377
-13.0022 -8.4454 0.4571
-18.8579 -7.1839 3.2426
-8.7008 -11.8534 -5.5165
-9.9424 -11.3835 -4.3132
-6.7957 -8.6208 -4.5644
-9.9075 -1.8657 2.1953
-14.6355 3.2132 3.3117
-10.9279 -3.5889 -1.2733
-7.7225 -10.6669 -3.6405
-14.4037 -6.8726 -0.7300
-9.1049 -2.6939 0.0531
-15.7861 1.1005 2.9637
```

Record 3
Density functional theory data (GGA+U) for a relaxed ZnFe2O4 crystal.

Results
Energy above the lowest structure with this stoichiometry in meV/atom: 16
Formation enthalpy at 0 K in meV/atom: -1729
Uncorrected energy in eV per atom: -6.1195

Geometry as POSCAR:
```
ZnFe2O4
1.0
5.2369 0.0000 3.0236
1.7456 4.9374 3.0236
0.0229 0.0162 30.1958
Fe O Zn
20 40 10
Cartesian
1.7379 3.0883 6.0477
1.7423 3.1055 30.2055
4.3821 3.0986 19.6284
3.4909 0.6090 6.0477
3.5086 0.6075 30.2055
1.7251 1.2198 3.0592
4.3714 3.0911 16.6168
4.3675 3.0883 7.5659
4.3644 3.0861 10.5820
4.3756 3.0940 28.7039
3.5074 0.6247 18.1134
1.7515 3.0914 12.0818
4.3820 3.0985 22.6456
3.4984 0.6208 12.0818
1.7581 3.0986 18.1134
1.7616 3.0990 24.1577
3.5090 0.6279 24.1577
4.3827 3.0990 25.6710
4.3918 3.1055 31.7351
4.3719 3.0914 13.5948
6.0607 4.2855 31.8323
6.0573 4.2831 28.5614
6.0619 4.2864 25.7830
5.2400 2.0097 9.0653
6.0464 4.2755 13.7157
5.1324 1.8449 6.1182
5.0979 1.9196 30.2046
2.7162 1.9206 22.7639
5.2533 2.0182 15.0895
2.7009 1.9098 7.4161
6.0530 4.2801 16.4746
5.2576 2.0212 27.1762
2.6943 1.9052 10.6989
5.1125 1.9206 24.1474
2.7018 1.9104 13.4617
2.7025 1.9110 16.7343
6.0624 4.2867 22.5074
5.2621 2.0232 21.1213
6.0393 4.2705 10.4497
3.6539 4.2801 15.0895
6.0605 4.2854 19.7384
3.6415 4.2705 9.0653
3.5091 4.1665 30.2046
2.7109 1.9169 19.4930
3.4956 4.1715 12.0867
6.0974 4.3115 34.5945
3.6582 4.2831 27.1762
2.7147 1.9196 28.8287
3.4502 4.2239 6.1182
3.5150 4.1799 24.1474
5.2817 2.0043 33.1816
3.6616 4.2867 21.1213
2.6091 1.8449 4.6614
3.5031 4.1753 18.1209
2.6633 1.8832 31.6697
6.0327 4.2658 7.6923
5.1042 1.9110 18.1209
2.7081 1.9149 25.5450
3.6502 4.3115 33.1816
5.0982 1.9052 12.0867
6.9844 4.9387 12.0912
4.3729 3.0921 4.5202
0.0220 0.0156 24.1502
0.0199 0.0141 12.0597
1.7553 1.2412 27.1953
1.7542 1.2404 15.1030
1.7668 1.2493 21.1283
0.0326 0.0230 30.1791
1.7467 1.2351 9.0688
0.0257 0.0182 18.0968
```

Record 4
Density functional theory data (GGA+U) for a relaxed MgTi2V2O6 crystal.

Results
Energy above the lowest structure with this stoichiometry in meV/atom: 3
Formation enthalpy at 0 K in meV/atom: -2685
Uncorrected energy in eV per atom: -7.9324

Geometry as POSCAR:
```
MgTi2V2O6
1.0
-5.1320 -3.0403 -0.4188
-0.9789 -5.3775 -2.4251
-1.5626 -5.0988 2.7050
Ti O V Mg
2 6 2 1
Cartesian
-6.5130 -11.4722 -0.1179
-1.1606 -2.0443 -0.0210
-1.8718 -6.5120 -0.6364
-4.3749 -5.0858 -1.1447
-3.5172 -5.6009 1.6043
-3.2986 -8.4307 1.0058
-5.8017 -7.0045 0.4975
-4.1563 -7.9156 -1.7432
-2.5360 -4.4670 -0.0459
-5.1376 -9.0495 -0.0930
-3.8368 -6.7583 -0.0694
```

Record 5
Density functional theory data (GGA+U) for a relaxed KNiH9C2O10 crystal.

Results
Energy above the lowest structure with this stoichiometry in meV/atom: 0
Formation enthalpy at 0 K in meV/atom: -1512
Uncorrected energy in eV per atom: -5.6836

Geometry as POSCAR:
```
KNiH9C2O10
1.0
-0.0156 0.1018 7.0843
3.3065 5.6801 -2.9611
-7.4246 5.6308 -2.8082
H O C Ni K
18 20 4 2 2
Cartesian
-0.6596 1.9715 3.1166
-3.4755 9.4398 -1.8016
-4.5368 6.1772 -1.3601
-2.7178 7.6290 0.2318
-2.7458 4.5266 0.5625
0.8318 6.2005 -1.4337
-4.5584 7.1383 -2.6744
0.3996 5.2361 2.6719
0.4217 4.2732 3.9862
-1.0276 2.8309 -1.4421
-3.0885 8.4847 -4.3267
-1.3864 6.8881 0.7542
-4.9412 4.2491 4.0656
0.6715 1.2310 3.6389
-4.9618 5.2096 2.7518
2.6178 4.5496 0.4847
0.8092 7.1630 -2.7482
-1.4149 3.7858 1.0830
-3.8674 4.7698 -0.6377
0.3167 3.2647 0.4877
-2.2750 4.1715 1.3791
-0.2662 6.6431 1.9529
-0.2987 3.7885 -1.6016
-5.0361 6.9053 -1.8302
-5.6317 6.6183 2.0295
0.8962 4.5056 3.1404
-2.3925 2.4917 3.7121
1.4978 4.7928 -0.7144
-2.3571 9.4441 -4.4855
-1.7393 8.9216 -2.3967
0.2012 1.5859 2.8218
-3.8356 7.6244 2.9159
-1.7761 1.9677 5.8020
-4.4528 8.1458 0.8262
0.3359 6.9310 -1.9014
-4.3360 9.8250 -1.5066
-4.4620 4.4830 3.2226
-1.8572 7.2432 -0.0634
-4.8265 3.9306 -0.5017
-4.6720 7.4569 1.8927
0.5383 3.9537 -0.5780
0.6941 7.4821 1.8172
1.6420 2.8881 2.0602
-3.7191 2.8700 2.1384
-2.0580 5.6579 -2.8854
3.2894 5.7816 4.1224
```

Record 6
Density functional theory data (GGA+U) for a relaxed Mn5P2O12 crystal.

Results
Formation enthalpy at 0 K in meV/atom: -2243
Uncorrected energy in eV per atom: -7.4765

Geometry as POSCAR:
```
Mn5P2O12
1.0
-2.9583 0.1706 -4.6817
1.8072 -8.8855 -1.4658
-14.2201 -4.3483 8.8270
P O Mn
8 48 20
Cartesian
-2.1821 -1.0469 0.5078
-6.7850 -6.3714 -1.6693
-2.9055 -6.3355 -3.7167
-5.6462 -3.1246 2.2184
-11.9264 -11.1494 5.0867
-8.4103 -11.0925 2.4643
-13.3651 -7.6155 4.0562
-10.2642 -5.5169 1.7706
-3.7356 -0.9215 0.8104
-9.1600 -11.9223 3.5914
-0.6949 -4.4361 -1.3302
-7.1239 -3.1203 -2.1044
-12.7121 -8.2772 5.2573
-6.0264 -3.6018 0.8131
-6.3531 -8.8468 1.2105
-8.7756 -9.5774 2.6621
-11.3531 -4.9549 0.8510
-10.6434 -2.6616 2.5448
-12.4284 -7.7054 2.7774
-11.7747 -10.4839 3.7145
-13.2215 -3.8225 3.2385
-13.6173 -6.0947 4.3592
-5.4185 -5.5772 -1.8201
-1.8190 -2.4799 -3.0167
-9.9801 -7.0337 1.3592
-4.8786 -6.0023 2.0590
-13.3925 -3.8212 6.4567
-11.0780 -10.5290 6.2013
-11.0283 -9.6040 1.0176
-4.2825 -10.4840 0.9119
-1.2724 -7.1040 0.4801
-2.5083 -9.1853 -4.5021
-13.6959 -6.1844 7.6317
-10.5714 -5.4182 3.2688
-6.9282 -11.2946 2.8281
-6.4993 -7.8820 -1.9931
-8.9002 -4.7597 1.5796
-2.2849 -7.0406 -2.5064
-13.4611 -11.0676 5.4161
-6.7514 -10.4591 -1.0646
-14.6783 -8.2435 3.5554
-8.8744 -8.6153 -0.4665
-11.4255 -5.7681 6.0532
-4.0556 -7.8663 -0.0464
-4.4793 -9.4154 -2.3719
-9.9353 -8.0935 4.4024
-7.7447 -7.0451 2.9661
-4.2329 -2.8879 -1.6653
-3.1063 -4.7949 0.0900
-1.8502 -2.5723 0.3308
-2.0488 -0.3509 -0.8587
-6.4299 -3.9152 3.3280
-1.9513 -6.3838 -4.9647
-15.5514 -4.1860 4.7878
-3.0873 -4.7874 -3.3688
-7.0871 -6.2374 -0.1658
-5.4013 -9.1890 -0.5310
-5.2711 -9.7496 2.6588
-0.4842 -6.4412 -1.7480
-12.1075 -4.7260 4.5829
-2.6306 -8.6812 0.9627
-14.1457 -11.0554 3.4377
-5.3007 -3.8291 -2.9641
-7.8854 -8.3850 4.3466
-10.6773 -11.5914 0.4019
-2.5646 -3.2315 -4.7379
-7.9635 -3.5306 0.1653
-4.4142 -0.8487 -1.1550
-14.9038 -5.3201 6.2615
-8.0030 -7.8251 1.1766
-10.7036 -8.8900 2.7776
-8.1490 -5.0992 3.5040
-4.6967 -5.8623 0.1102
-2.4575 -3.6782 -1.5293
-14.9982 -4.8742 3.0728
-10.9542 -7.8241 6.0019
```

> The highest formation enthalpy at 0 K belongs to which entry?

Mn2PH9C12O9